1.
Material: Na2MnH4S2O10
Method: DFT, GGA+U
State: relaxed

Geometry as CIF:
```
data_Na2MnH4S2O10
_chemical_formula_sum 'Na4 Mn2 H8 S4 O20'
_cell_length_a 5.587
_cell_length_b 5.903
_cell_length_c 13.507
_cell_angle_alpha 90.00
_cell_angle_beta 90.00
_cell_angle_gamma 106.09
_symmetry_space_group_name_H-M 'P 1'
_symmetry_Int_Tables_number 1
loop_
_symmetry_equiv_pos_as_xyz
'x,y,z'
loop_
_atom_site_label
_atom_site_type_symbol
_atom_site_fract_x
_atom_site_fract_y
_atom_site_fract_z
Na1 Na 0.762 0.582 0.385
Na2 Na 0.738 0.418 0.885
Na3 Na 0.238 0.418 0.615
Na4 Na 0.262 0.582 0.115
Mn1 Mn 0.500 0.000 0.500
Mn2 Mn 0.000 0.000 0.000
H1 H 0.505 0.909 0.300
H2 H 0.995 0.091 0.800
H3 H 0.495 0.091 0.700
H4 H 0.005 0.909 0.200
H5 H 0.318 0.681 0.348
H6 H 0.182 0.319 0.848
H7 H 0.682 0.319 0.652
H8 H 0.818 0.681 0.152
S1 S 0.073 0.228 0.384
S2 S 0.427 0.772 0.884
S3 S 0.927 0.772 0.616
S4 S 0.573 0.228 0.116
O1 O 0.018 0.005 0.329
O2 O 0.482 0.995 0.829
O3 O 0.982 0.995 0.671
O4 O 0.518 0.005 0.171
O5 O 0.308 0.264 0.445
O6 O 0.192 0.736 0.945
O7 O 0.692 0.736 0.555
O8 O 0.808 0.264 0.055
O9 O 0.864 0.230 0.455
O10 O 0.636 0.770 0.955
O11 O 0.136 0.770 0.545
O12 O 0.364 0.230 0.045
O13 O 0.102 0.436 0.317
O14 O 0.398 0.564 0.817
O15 O 0.898 0.564 0.683
O16 O 0.602 0.436 0.183
O17 O 0.475 0.809 0.361
O18 O 0.025 0.191 0.861
O19 O 0.525 0.191 0.639
O20 O 0.975 0.809 0.139
```

Summary:
The energy relative to the elements is -35.5 eV/f.u. The total energy comes out at -220.13 eV per cell.


2.
Material: Na2MnH4Se2O10
Method: DFT, GGA+U
State: relaxed

Geometry as CIF:
```
data_Na2MnH4Se2O10
_chemical_formula_sum 'Na4 Mn2 H8 Se4 O20'
_cell_length_a 5.791
_cell_length_b 6.027
_cell_length_c 13.705
_cell_angle_alpha 90.00
_cell_angle_beta 90.00
_cell_angle_gamma 105.83
_symmetry_space_group_name_H-M 'P 1'
_symmetry_Int_Tables_number 1
loop_
_symmetry_equiv_pos_as_xyz
'x,y,z'
loop_
_atom_site_label
_atom_site_type_symbol
_atom_site_fract_x
_atom_site_fract_y
_atom_site_fract_z
Na1 Na 0.738 0.573 0.377
Na2 Na 0.762 0.427 0.877
Na3 Na 0.262 0.427 0.623
Na4 Na 0.238 0.573 0.123
Mn1 Mn 0.500 0.000 0.500
Mn2 Mn 0.000 0.000 0.000
H1 H 0.496 0.906 0.301
H2 H 0.004 0.094 0.801
H3 H 0.504 0.094 0.699
H4 H 0.996 0.906 0.199
H5 H 0.310 0.695 0.351
H6 H 0.190 0.305 0.851
H7 H 0.690 0.305 0.649
H8 H 0.810 0.695 0.149
Se1 Se 0.067 0.224 0.382
Se2 Se 0.433 0.776 0.882
Se3 Se 0.933 0.776 0.618
Se4 Se 0.567 0.224 0.118
O1 O 0.004 0.973 0.323
O2 O 0.496 0.027 0.823
O3 O 0.996 0.027 0.677
O4 O 0.504 0.973 0.177
O5 O 0.323 0.267 0.447
O6 O 0.177 0.733 0.947
O7 O 0.677 0.733 0.553
O8 O 0.823 0.267 0.053
O9 O 0.842 0.234 0.459
O10 O 0.658 0.766 0.959
O11 O 0.158 0.766 0.541
O12 O 0.342 0.234 0.041
O13 O 0.091 0.449 0.307
O14 O 0.409 0.551 0.807
O15 O 0.909 0.551 0.693
O16 O 0.591 0.449 0.193
O17 O 0.466 0.813 0.362
O18 O 0.034 0.187 0.862
O19 O 0.534 0.187 0.638
O20 O 0.966 0.813 0.138
```

Summary:
The energy relative to the elements is -29.3 eV/f.u. The total energy comes out at -205.16 eV per cell.


3.
Material: MnHO2
Method: DFT, GGA+U
State: relaxed

Geometry as CIF:
```
data_MnHO2
_chemical_formula_sum 'Mn4 H4 O8'
_cell_length_a 8.035
_cell_length_b 8.035
_cell_length_c 8.035
_cell_angle_alpha 91.94
_cell_angle_beta 91.94
_cell_angle_gamma 158.79
_symmetry_space_group_name_H-M 'P 1'
_symmetry_Int_Tables_number 1
loop_
_symmetry_equiv_pos_as_xyz
'x,y,z'
loop_
_atom_site_label
_atom_site_type_symbol
_atom_site_fract_x
_atom_site_fract_y
_atom_site_fract_z
Mn1 Mn 0.645 0.849 0.494
Mn2 Mn 0.151 0.645 0.796
Mn3 Mn 0.849 0.355 0.204
Mn4 Mn 0.355 0.151 0.506
H1 H 0.171 0.921 0.092
H2 H 0.829 0.079 0.908
H3 H 0.079 0.171 0.250
H4 H 0.921 0.829 0.750
O1 O 0.828 0.544 0.372
O2 O 0.456 0.828 0.285
O3 O 0.544 0.172 0.715
O4 O 0.172 0.456 0.628
O5 O 0.151 0.222 0.372
O6 O 0.778 0.151 0.929
O7 O 0.849 0.778 0.628
O8 O 0.222 0.849 0.071
```

Summary:
The energy relative to the elements is -6.6 eV/f.u. The total energy comes out at -104.17 eV per cell.